Record 1
# PBE SbSI, optimized geometry
data_SbSI
_space_group_name_H-M_alt 'P 1'
_space_group_IT_number 1
_cell_length_a 3.6752
_cell_length_b 12.2369
_cell_length_c 16.1353
_cell_angle_alpha 90.00
_cell_angle_beta 90.00
_cell_angle_gamma 90.00
loop_
_space_group_symop_operation_xyz
'x,y,z'
loop_
_atom_site_label
_atom_site_type_symbol
_atom_site_fract_x
_atom_site_fract_y
_atom_site_fract_z
Sb1 Sb 0.2500 0.3128 0.3640
Sb2 Sb 0.7500 0.8128 0.1360
Sb3 Sb 0.7500 0.6872 0.6360
Sb4 Sb 0.2500 0.1872 0.8640
S1 S 0.2500 0.9288 0.0758
S2 S 0.7500 0.0712 0.9242
S3 S 0.2500 0.5712 0.5758
S4 S 0.7500 0.4288 0.4242
I1 I 0.7500 0.3175 0.2121
I2 I 0.2500 0.6825 0.7879
I3 I 0.2500 0.8175 0.2879
I4 I 0.7500 0.1825 0.7121
# - Calculated formation energy: -0.3383 eV/atom
# - Crystal system: orthorhombic
# - Energy: -3.307 eV/atom
# - Space group: Pnma, No. 62

=====

Record 2
# PBE Na7Ca2Ti2SiP5O24, optimized geometry
data_Na7Ca2Ti2SiP5O24
_space_group_name_H-M_alt 'P 1'
_space_group_IT_number 1
_cell_length_a 9.1994
_cell_length_b 9.2052
_cell_length_c 22.2190
_cell_angle_alpha 89.86
_cell_angle_beta 90.16
_cell_angle_gamma 119.73
loop_
_space_group_symop_operation_xyz
'x,y,z'
loop_
_atom_site_label
_atom_site_type_symbol
_atom_site_fract_x
_atom_site_fract_y
_atom_site_fract_z
Na1 Na 0.3570 0.3645 0.2544
Na2 Na 0.0133 0.6431 0.2554
Na3 Na 0.6308 0.6442 0.7505
Na4 Na 0.0077 0.3705 0.7530
Na5 Na 0.3518 0.9849 0.7548
Na6 Na 0.2978 0.3175 0.5821
Na7 Na 0.0196 0.6994 0.5854
Na8 Na 0.6794 0.9751 0.5889
Na9 Na 0.2993 0.9816 0.0869
Na10 Na 0.6830 0.7032 0.0836
Na11 Na 0.0244 0.3232 0.0867
Na12 Na 0.9644 0.6580 0.9229
Na13 Na 0.6895 0.0332 0.9218
Na14 Na 0.9672 0.3101 0.4201
Na15 Na 0.3456 0.0346 0.4225
Na16 Na 0.9960 0.9860 0.4999
Na17 Na 0.0152 0.0032 0.9997
Na18 Na 0.6507 0.3393 0.8361
Na19 Na 0.6610 0.3328 0.3340
Na20 Na 0.3549 0.6865 0.1701
Na21 Na 0.3409 0.6716 0.6682
Ca1 Ca 0.0003 0.9990 0.6517
Ca2 Ca 0.9958 0.9979 0.1531
Ca3 Ca 0.6585 0.3355 0.9821
Ca4 Ca 0.6650 0.3418 0.4806
Ca5 Ca 0.3450 0.6730 0.3166
Ca6 Ca 0.3341 0.6638 0.8198
Ti1 Ti 0.9930 0.9959 0.3479
Ti2 Ti 0.9962 0.0067 0.8476
Ti3 Ti 0.6618 0.3168 0.6812
Ti4 Ti 0.6792 0.3349 0.1812
Ti5 Ti 0.3218 0.6587 0.0150
Ti6 Ti 0.3451 0.6792 0.5151
Si1 Si 0.7008 0.0105 0.7467
Si2 Si 0.3701 0.0246 0.5784
Si3 Si 0.9748 0.6300 0.0795
P1 P 0.3042 0.0138 0.2496
P2 P 0.7082 0.6915 0.2476
P3 P 0.9838 0.2913 0.2493
P4 P 0.3027 0.2900 0.7488
P5 P 0.9859 0.6957 0.7513
P6 P 0.9712 0.3471 0.5818
P7 P 0.6533 0.6214 0.5857
P8 P 0.6537 0.0312 0.0814
P9 P 0.3777 0.3470 0.0864
P10 P 0.6420 0.6837 0.9151
P11 P 0.0393 0.3564 0.9151
P12 P 0.3181 0.9558 0.9155
P13 P 0.6426 0.9599 0.4165
P14 P 0.3155 0.3590 0.4144
P15 P 0.0477 0.6827 0.4140
O1 O 0.1899 0.0270 0.3034
O2 O 0.8338 0.8103 0.3000
O3 O 0.9706 0.1713 0.3041
O4 O 0.1915 0.1648 0.8017
O5 O 0.9754 0.8077 0.8053
O6 O 0.8378 0.0322 0.8048
O7 O 0.7739 0.9804 0.6867
O8 O 0.2120 0.2250 0.6893
O9 O 0.0203 0.7937 0.6929
O10 O 0.7742 0.7766 0.1874
O11 O 0.0130 0.2254 0.1910
O12 O 0.2120 0.9945 0.1907
O13 O 0.8652 0.3615 0.6376
O14 O 0.5044 0.1369 0.6377
O15 O 0.6334 0.5066 0.6428
O16 O 0.8616 0.4938 0.1380
O17 O 0.6383 0.1420 0.1348
O18 O 0.4965 0.3663 0.1428
O19 O 0.4454 0.3032 0.0318
O20 O 0.8694 0.5543 0.0200
O21 O 0.6809 0.1261 0.0229
O22 O 0.4471 0.1314 0.5196
O23 O 0.6907 0.5491 0.5310
O24 O 0.8716 0.3212 0.5246
O25 O 0.5339 0.6937 0.9696
O26 O 0.1594 0.4653 0.9702
O27 O 0.3041 0.8279 0.9699
O28 O 0.5427 0.8433 0.4740
O29 O 0.3061 0.4670 0.4694
O30 O 0.1751 0.7035 0.4689
O31 O 0.1204 0.6610 0.3561
O32 O 0.5304 0.8868 0.3629
O33 O 0.3277 0.4468 0.3554
O34 O 0.1065 0.4539 0.8573
O35 O 0.3368 0.8826 0.8571
O36 O 0.5565 0.6707 0.8552
O37 O 0.0438 0.8519 0.4127
O38 O 0.8144 0.9632 0.4115
O39 O 0.1429 0.1863 0.4151
O40 O 0.0358 0.1845 0.9136
O41 O 0.1489 0.9555 0.9171
O42 O 0.8140 0.8562 0.9158
O43 O 0.0014 0.1987 0.5889
O44 O 0.1815 0.9880 0.5862
O45 O 0.7968 0.8020 0.5913
O46 O 0.0113 0.8187 0.0874
O47 O 0.8028 0.0032 0.0903
O48 O 0.1959 0.2074 0.0940
O49 O 0.7057 0.1961 0.7440
O50 O 0.4728 0.2896 0.7495
O51 O 0.8149 0.5296 0.7510
O52 O 0.7161 0.5247 0.2504
O53 O 0.8159 0.2983 0.2463
O54 O 0.4724 0.1832 0.2511
O55 O 0.6780 0.5391 0.9195
O56 O 0.8613 0.3260 0.9234
O57 O 0.4737 0.1250 0.9235
O58 O 0.6778 0.1396 0.4242
O59 O 0.4596 0.3216 0.4184
O60 O 0.8773 0.5290 0.4230
O61 O 0.3829 0.5205 0.0802
O62 O 0.1575 0.6273 0.0757
O63 O 0.4852 0.8610 0.0816
O64 O 0.3724 0.8424 0.5758
O65 O 0.4807 0.6197 0.5798
O66 O 0.1410 0.5163 0.5817
O67 O 0.3199 0.8579 0.2566
O68 O 0.5281 0.6525 0.2550
O69 O 0.1310 0.4691 0.2579
O70 O 0.3305 0.4669 0.7572
O71 O 0.1312 0.6607 0.7593
O72 O 0.5125 0.8589 0.7545
# - Calculated formation energy: -2.8658 eV/atom
# - Crystal system: triclinic
# - Energy: -6.861 eV/atom
# - Space group: P1, No. 1

=====

Record 3
# PBE MgCu4H8C2O10, optimized geometry
data_MgCu4H8C2O10
_space_group_name_H-M_alt 'P 1'
_space_group_IT_number 1
_cell_length_a 6.3134
_cell_length_b 6.1976
_cell_length_c 7.7222
_cell_angle_alpha 95.77
_cell_angle_beta 116.09
_cell_angle_gamma 88.92
loop_
_space_group_symop_operation_xyz
'x,y,z'
loop_
_atom_site_label
_atom_site_type_symbol
_atom_site_fract_x
_atom_site_fract_y
_atom_site_fract_z
Mg1 Mg 0.6892 0.4784 0.8841
Cu1 Cu 0.9829 0.0220 0.0337
Cu2 Cu 0.1568 0.5039 0.9355
Cu3 Cu 0.4818 0.8029 0.0375
Cu4 Cu 0.4894 0.2663 0.0805
H1 H 0.3602 0.8560 0.5537
H2 H 0.6079 0.2514 0.4045
H3 H 0.8358 0.7729 0.7289
H4 H 0.0697 0.4175 0.2015
H5 H 0.8123 0.5641 0.2607
H6 H 0.1646 0.0405 0.8082
H7 H 0.8270 0.0304 0.2879
H8 H 0.2423 0.5724 0.6580
C1 C 0.2494 0.7607 0.4126
C2 C 0.7239 0.1833 0.5440
O1 O 0.2526 0.8199 0.2626
O2 O 0.6792 0.2421 0.6865
O3 O 0.8695 0.7257 0.8551
O4 O 0.0151 0.3502 0.0659
O5 O 0.1307 0.5990 0.4206
O6 O 0.8823 0.0566 0.5436
O7 O 0.6573 0.5425 0.1459
O8 O 0.2511 0.0353 0.9501
O9 O 0.7471 0.0279 0.1437
O10 O 0.3429 0.5548 0.7985
# - Calculated formation energy: -1.1772 eV/atom
# - E above lowest polymorph: 0.0 meV/atom
# - Crystal system: triclinic
# - Energy: -5.425 eV/atom
# - Space group: P1, No. 1

=====

Record 4
# PBE GeSb, optimized geometry
data_GeSb
_space_group_name_H-M_alt 'P 1'
_space_group_IT_number 1
_cell_length_a 2.9447
_cell_length_b 2.9447
_cell_length_c 5.8561
_cell_angle_alpha 90.00
_cell_angle_beta 90.00
_cell_angle_gamma 90.00
loop_
_space_group_symop_operation_xyz
'x,y,z'
loop_
_atom_site_label
_atom_site_type_symbol
_atom_site_fract_x
_atom_site_fract_y
_atom_site_fract_z
Ge1 Ge 0.0000 0.0000 0.0000
Sb1 Sb 0.0000 0.0000 0.5000
# - Calculated formation energy: 0.1475 eV/atom
# - Crystal system: tetragonal
# - Energy: -4.133 eV/atom
# - Space group: P4/mmm, No. 123